LaFe2Si2: optimized geometry, r²SCAN.

Unit cell a=4.039 b=4.039 c=5.732 alpha=110.63 beta=110.63 gamma=90.00
Positions (direct):
La (0.000, 0.000, 0.000)
Fe (0.750, 0.250, 0.500)
Fe (0.250, 0.750, 0.500)
Si (0.649, 0.649, 0.298)
Si (0.351, 0.351, 0.702)

Computed properties:
total moment: 0.000 μB per cell
space-group type: I4/mmm (139)
energy relative to the elements: -0.42 eV per atom
total DFT energy (no corrections): -78.242 eV/f.u.